# Er2MgTl2W4O16 GGA+U relaxed
# ΔH_f (0 K) ... -2.449 eV/atom
# Total energy ... -178.95 eV per formula unit
data_Er2MgTl2W4O16
_chemical_formula_sum 'Er4 Mg2 Tl4 W8 O32'
_symmetry_space_group_name_H-M 'C 1 2 1'
_symmetry_Int_Tables_number 5
_cell_length_a 10.991
_cell_length_b 10.763
_cell_length_c 7.510
_cell_angle_alpha 90.00
_cell_angle_beta 129.34
_cell_angle_gamma 90.00
loop_
_symmetry_equiv_pos_as_xyz
'x,y,z'
'-x,y,-z'
'x+1/2,y+1/2,z'
'-x+1/2,y+1/2,-z'
loop_
_atom_site_label
_atom_site_fract_x
_atom_site_fract_y
_atom_site_fract_z
Er1 0.000 0.000 0.000
Er2 0.000 0.453 0.500
Mg1 0.000 0.890 0.500
Tl1 0.000 0.139 0.500
Tl2 0.000 0.435 0.000
W1 0.196 0.711 0.454
W2 0.196 0.734 0.953
O1 0.017 0.846 0.236
O2 0.024 0.618 0.715
O3 0.125 0.313 0.450
O4 0.135 0.135 0.951
O5 0.178 0.667 0.172
O6 0.197 0.799 0.699
O7 0.211 0.378 0.876
O8 0.217 0.068 0.371